A plane-wave DFT calculation with PBE was carried out for a relaxed structure of MgBi12AsO20.

The structure in POSCAR format:
```
MgBi12AsO20
1.0
-5.380 5.279 5.279
5.279 -5.380 5.279
5.279 5.279 -5.380
Mg Bi As O
1 12 1 20
Direct
0.595 0.595 0.595 Mg
0.804 0.156 0.303 Bi
0.867 0.661 0.153 Bi
0.503 0.344 0.196 Bi
0.661 0.153 0.867 Bi
0.344 0.196 0.503 Bi
0.876 0.486 0.698 Bi
0.196 0.503 0.344 Bi
0.303 0.804 0.156 Bi
0.698 0.876 0.486 Bi
0.156 0.303 0.804 Bi
0.486 0.698 0.876 Bi
0.153 0.867 0.661 Bi
0.007 0.007 0.007 As
0.602 0.005 0.998 O
0.754 0.388 0.118 O
0.193 0.012 0.994 O
0.627 0.246 0.357 O
0.875 0.230 0.620 O
0.994 0.193 0.012 O
0.012 0.994 0.193 O
0.700 0.618 0.435 O
0.364 0.364 0.364 O
0.618 0.435 0.700 O
0.388 0.118 0.754 O
0.357 0.627 0.246 O
0.620 0.875 0.230 O
0.005 0.998 0.602 O
0.998 0.602 0.005 O
0.246 0.357 0.627 O
0.816 0.816 0.816 O
0.435 0.700 0.618 O
0.118 0.754 0.388 O
0.230 0.620 0.875 O
```

Values from the calculation:
V: 588.2 Å³/f.u.
Symmetry: R3, No. 146
Energy of formation: -1.5903 eV per atom